# USb2F15

An optimized crystal structure of USb2F15 (PBE, the Materials Project).

As for the corrected total energy (MP2020 scheme): -5.50 eV/atom. The total magnetization comes out at 0.019 μB per atom. Its space group is No. 14. The value obtained for the mass density is 3.5 Mg/m³. The energy above the lowest structure with this stoichiometry is 0.150 eV/atom. The total energy is -368.40 eV for the cell shown.

abc: 8.8588 15.5944 10.5060
angles: 90.00 90.38 90.00
Closest atoms and distances in Å follow each position.
Positions (direct):
U: 0.1877 0.1325 0.1640  4 F 1.99-2.08
U: 0.1877 0.3675 0.6640  4 F 1.99-2.08
U: 0.8123 0.6325 0.3360  4 F 1.99-2.08
U: 0.8123 0.8675 0.8360  4 F 1.99-2.08
Sb: 0.1494 0.0594 0.7730  6 F 1.88-2.05
Sb: 0.1494 0.4406 0.2730  6 F 1.88-2.05
Sb: 0.3806 0.7138 0.9855  4 F 1.90-1.97
Sb: 0.3806 0.7862 0.4855  4 F 1.90-1.97
Sb: 0.6194 0.2138 0.5145  4 F 1.90-1.97
Sb: 0.6194 0.2862 0.0145  4 F 1.90-1.97
Sb: 0.8506 0.5594 0.7270  6 F 1.88-2.05
Sb: 0.8506 0.9406 0.2270  6 F 1.88-2.05
F: 0.0248 0.5471 0.3129  1 Sb 2.04
F: 0.0248 0.9529 0.8129  1 Sb 2.04
F: 0.0300 0.6193 0.6909  1 Sb 1.88
F: 0.0300 0.8807 0.1909  1 Sb 1.88
F: 0.0556 0.2254 0.0942  1 U 2.00
F: 0.0556 0.2746 0.5942  1 U 2.00
F: 0.1038 0.0478 0.5991  1 Sb 1.88
F: 0.1038 0.4522 0.0991  1 Sb 1.88
F: 0.1705 0.1772 0.3434  1 U 2.02
F: 0.1705 0.3228 0.8434  1 U 2.02
F: 0.1818 0.0663 0.9664  1 Sb 2.05
F: 0.1818 0.4337 0.4664  1 Sb 2.05
F: 0.2066 0.6563 0.0487  1 Sb 1.91
F: 0.2066 0.8437 0.5487  1 Sb 1.91
F: 0.2669 0.1603 0.7632  1 Sb 1.89
F: 0.2669 0.3397 0.2632  1 Sb 1.89
F: 0.2938 0.7470 0.3303  1 Sb 1.90
F: 0.2938 0.7530 0.8303  1 Sb 1.90
F: 0.3151 0.0383 0.2353  1 U 1.99
F: 0.3151 0.4617 0.7353  1 U 1.99
F: 0.3150 0.5160 0.2720  1 Sb 1.88
F: 0.3150 0.9840 0.7720  1 Sb 1.88
F: 0.3551 0.6763 0.5753  1 Sb 1.97
F: 0.3551 0.8237 0.0753  1 Sb 1.97
F: 0.3794 0.2006 0.1114  1 U 2.08
F: 0.3794 0.2994 0.6114  1 U 2.08
F: 0.4699 0.5419 0.5173  1 F 1.46
F: 0.4699 0.9581 0.0173  1 F 1.46
F: 0.4804 0.6111 0.9198  1 Sb 1.96
F: 0.4804 0.8889 0.4198  1 Sb 1.96
F: 0.5196 0.1111 0.5802  1 Sb 1.96
F: 0.5196 0.3889 0.0802  1 Sb 1.96
F: 0.5301 0.0419 0.9827  1 F 1.46
F: 0.5301 0.4581 0.4827  1 F 1.46
F: 0.6206 0.7006 0.3886  1 U 2.08
F: 0.6206 0.7994 0.8886  1 U 2.08
F: 0.6449 0.1763 0.9247  1 Sb 1.97
F: 0.6449 0.3237 0.4247  1 Sb 1.97
F: 0.6850 0.0160 0.2280  1 Sb 1.88
F: 0.6850 0.4840 0.7280  1 Sb 1.88
F: 0.6849 0.5383 0.2647  1 U 1.99
F: 0.6849 0.9617 0.7647  1 U 1.99
F: 0.7062 0.2470 0.1697  1 Sb 1.90
F: 0.7062 0.2530 0.6697  1 Sb 1.90
F: 0.7331 0.6603 0.7368  1 Sb 1.89
F: 0.7331 0.8397 0.2368  1 Sb 1.89
F: 0.7934 0.1563 0.4513  1 Sb 1.91
F: 0.7934 0.3437 0.9513  1 Sb 1.91
F: 0.8182 0.5663 0.5336  1 Sb 2.05
F: 0.8182 0.9337 0.0336  1 Sb 2.05
F: 0.8295 0.6772 0.1566  1 U 2.02
F: 0.8295 0.8228 0.6566  1 U 2.02
F: 0.8962 0.5478 0.9009  1 Sb 1.88
F: 0.8962 0.9522 0.4009  1 Sb 1.88
F: 0.9444 0.7254 0.4058  1 U 2.00
F: 0.9444 0.7746 0.9058  1 U 2.00
F: 0.9700 0.1193 0.8091  1 Sb 1.88
F: 0.9700 0.3807 0.3091  1 Sb 1.88
F: 0.9752 0.0471 0.1871  1 Sb 2.04
F: 0.9752 0.4529 0.6871  1 Sb 2.04